1.
PBE+U Li6Mn3CoO10, relaxed; E (MP2020) = -6.804 eV/atom; ΔE to the lowest computed polymorph = 33 meV/atom; ΔH_f (0 K) = -2.03 eV per atom; crystal system = triclinic; size of the total moment = 12.0 μB/cell; space group = No. 1
1.0
-1.083 -2.666 -0.626
3.214 1.439 -6.932
5.997 -3.347 4.427
O Li Mn Co
10 6 3 1
direct
0.041 0.993 0.238 O
0.163 0.412 0.363 O
0.420 0.788 0.443 O
0.443 0.825 0.964 O
0.624 0.224 0.555 O
0.578 0.177 0.043 O
0.760 0.575 0.632 O
0.773 0.605 0.162 O
0.206 0.407 0.833 O
0.996 0.995 0.766 O
0.202 0.400 0.086 Li
0.425 0.817 0.702 Li
0.773 0.582 0.895 Li
0.996 0.002 0.518 Li
0.600 0.201 0.800 Li
0.603 0.199 0.299 Li
0.190 0.395 0.606 Mn
0.409 0.801 0.204 Mn
0.012 0.006 0.992 Mn
0.784 0.596 0.399 Co



2.
PBE+U Li7Mn4CoO12, relaxed; E (MP2020) = -6.919 eV/atom; ΔE to the lowest computed polymorph = 19 meV/atom; ΔH_f (0 K) = -2.07 eV per atom; size of the total moment = 28.0 μB/cell
1.0
1.969 6.101 0.854
-5.659 -0.049 8.846
5.328 0.023 4.200
Li Mn O Co
14 8 24 2
direct
0.665 0.543 0.281 Li
0.669 0.290 0.552 Li
0.981 0.370 0.118 Li
0.989 0.623 0.886 Li
0.981 0.871 0.618 Li
0.667 0.667 0.667 Li
0.344 0.211 0.947 Li
0.989 0.122 0.386 Li
0.665 0.043 0.781 Li
0.667 0.167 0.167 Li
0.669 0.790 0.052 Li
0.352 0.963 0.216 Li
0.352 0.463 0.716 Li
0.344 0.711 0.447 Li
0.341 0.832 0.826 Mn
0.992 0.501 0.507 Mn
0.996 0.749 0.261 Mn
0.341 0.332 0.326 Mn
0.338 0.584 0.072 Mn
0.992 0.001 0.007 Mn
0.995 0.249 0.761 Mn
0.338 0.084 0.572 Mn
0.003 0.186 0.035 O
0.321 0.259 0.650 O
0.321 0.759 0.151 O
0.682 0.974 0.125 O
0.012 0.075 0.683 O
0.330 0.148 0.298 O
0.003 0.686 0.535 O
0.651 0.860 0.708 O
0.648 0.095 0.481 O
0.320 0.018 0.870 O
0.012 0.575 0.183 O
0.346 0.909 0.511 O
0.988 0.924 0.322 O
0.013 0.815 0.963 O
0.648 0.595 0.982 O
0.651 0.360 0.208 O
0.685 0.239 0.852 O
0.988 0.424 0.822 O
0.345 0.409 0.011 O
0.682 0.474 0.625 O
0.685 0.739 0.352 O
0.320 0.518 0.370 O
0.013 0.315 0.463 O
0.330 0.648 0.799 O
0.667 0.917 0.417 Co
0.667 0.417 0.917 Co



3.
PBE+U Li5Mn2CoO8, relaxed; E (MP2020) = -6.579 eV/atom; ΔE to the lowest computed polymorph = 115 meV/atom; ΔH_f (0 K) = -1.92 eV per atom; crystal system = triclinic; size of the total moment = 10.0 μB/cell; space group = No. 2
1.0
3.006 0.000 0.000
0.232 5.030 0.000
1.208 0.424 9.595
O Mn Li Co
8 2 5 1
direct
0.337 0.944 0.882 O
0.460 0.331 0.609 O
0.063 0.225 0.388 O
0.937 0.775 0.612 O
0.663 0.056 0.118 O
0.835 0.439 0.885 O
0.165 0.561 0.115 O
0.540 0.669 0.391 O
0.250 0.250 0.001 Mn
0.750 0.750 0.999 Mn
0.612 0.372 0.265 Li
0.500 0.000 0.500 Li
0.121 0.879 0.266 Li
0.388 0.628 0.735 Li
0.879 0.121 0.734 Li
0.000 0.500 0.500 Co



4.
PBE+U Li4MnCo2O7, relaxed; E (MP2020) = -6.486 eV/atom; ΔE to the lowest computed polymorph = 87 meV/atom; ΔH_f (0 K) = -1.80 eV per atom; crystal system = triclinic; size of the total moment = 14.0 μB/cell; space group = No. 2
1.0
3.012 0.000 0.000
0.807 7.701 0.000
1.292 1.843 10.886
Mn Li O Co
2 8 14 4
direct
0.286 0.354 0.074 Mn
0.714 0.646 0.926 Mn
0.500 0.000 0.000 Li
0.930 0.286 0.854 Li
0.361 0.567 0.709 Li
0.070 0.714 0.146 Li
0.790 0.858 0.570 Li
0.210 0.142 0.430 Li
0.639 0.433 0.291 Li
0.000 0.500 0.500 Li
0.050 0.621 0.325 O
0.913 0.174 0.047 O
0.226 0.242 0.245 O
0.344 0.465 0.900 O
0.390 0.694 0.519 O
0.518 0.106 0.805 O
0.950 0.379 0.675 O
0.656 0.535 0.100 O
0.482 0.894 0.195 O
0.813 0.957 0.382 O
0.187 0.043 0.618 O
0.774 0.758 0.755 O
0.610 0.306 0.481 O
0.087 0.826 0.953 O
0.567 0.227 0.637 Co
0.143 0.933 0.782 Co
0.857 0.067 0.218 Co
0.433 0.773 0.363 Co



5.
PBE+U Li7Mn2Co3O12, relaxed; E (MP2020) = -6.513 eV/atom; ΔE to the lowest computed polymorph = 104 meV/atom; ΔH_f (0 K) = -1.83 eV per atom; crystal system = monoclinic; size of the total moment = 6.0 μB/cell; space group = No. 6
1.0
-2.191 -1.857 -0.208
2.833 -3.616 2.443
-5.013 4.474 12.876
O Li Co Mn
12 7 3 2
direct
0.500 0.138 0.919 O
0.000 0.639 0.922 O
0.500 0.815 0.594 O
0.500 0.516 0.739 O
0.000 0.671 0.412 O
0.000 0.953 0.739 O
0.000 0.002 0.257 O
0.500 0.502 0.257 O
0.500 0.861 0.075 O
0.000 0.383 0.595 O
0.500 0.167 0.415 O
0.000 0.354 0.076 O
0.000 0.672 0.173 Li
0.500 0.512 0.506 Li
0.000 0.319 0.820 Li
0.500 0.172 0.172 Li
0.000 0.005 0.505 Li
0.500 0.164 0.666 Li
0.500 0.822 0.823 Li
0.000 0.336 0.337 Co
0.500 0.837 0.336 Co
0.000 0.666 0.666 Co
0.000 0.998 0.997 Mn
0.500 0.497 0.999 Mn



6.
PBE+U Li4MnCo2O7, relaxed; E (MP2020) = -6.240 eV/atom; ΔE to the lowest computed polymorph = 333 meV/atom; ΔH_f (0 K) = -1.55 eV per atom; crystal system = monoclinic; size of the total moment = 0.0 μB/cell; space group = No. 8
1.0
1.446 6.544 0.000
-1.446 6.544 0.000
0.000 5.552 13.421
O Co Mn Li
14 4 2 8
direct
0.291 0.291 0.814 O
0.851 0.851 0.477 O
0.424 0.424 0.616 O
0.573 0.573 0.385 O
0.698 0.698 0.184 O
0.447 0.447 0.098 O
0.994 0.994 0.757 O
0.857 0.857 0.960 O
0.151 0.151 0.539 O
0.138 0.138 0.051 O
0.564 0.564 0.901 O
0.281 0.281 0.316 O
0.727 0.727 0.668 O
0.006 0.006 0.238 O
0.423 0.423 0.855 Co
0.274 0.274 0.565 Co
0.153 0.153 0.297 Co
0.861 0.861 0.708 Co
0.000 0.000 0.997 Mn
0.574 0.574 0.146 Mn
0.721 0.721 0.921 Li
0.003 0.003 0.501 Li
0.713 0.713 0.430 Li
0.854 0.854 0.221 Li
0.282 0.282 0.071 Li
0.145 0.145 0.779 Li
0.425 0.425 0.364 Li
0.572 0.572 0.639 Li



7.
PBE+U Li7Mn2Co3O12, relaxed; E (MP2020) = -6.582 eV/atom; ΔE to the lowest computed polymorph = 35 meV/atom; ΔH_f (0 K) = -1.90 eV per atom; crystal system = triclinic; size of the total moment = 6.0 μB/cell; space group = No. 2
1.0
1.680 0.388 -2.373
5.256 -2.320 5.127
-4.010 -8.301 -4.289
Li Co O Mn
7 3 12 2
direct
0.659 0.823 0.245 Li
0.994 0.492 0.757 Li
0.500 0.500 0.000 Li
0.006 0.508 0.243 Li
0.341 0.177 0.755 Li
0.333 0.170 0.255 Li
0.667 0.830 0.745 Li
0.834 0.167 0.499 Co
0.500 0.500 0.500 Co
0.166 0.833 0.501 Co
0.094 0.682 0.119 O
0.744 0.989 0.107 O
0.425 0.335 0.616 O
0.917 0.334 0.383 O
0.397 0.308 0.110 O
0.906 0.318 0.881 O
0.575 0.665 0.384 O
0.083 0.666 0.617 O
0.245 0.004 0.386 O
0.755 0.996 0.614 O
0.256 0.011 0.893 O
0.603 0.692 0.890 O
0.833 0.175 0.996 Mn
0.167 0.825 0.004 Mn



8.
PBE+U Li7Mn2Co3O12, relaxed; E (MP2020) = -6.568 eV/atom; ΔE to the lowest computed polymorph = 49 meV/atom; ΔH_f (0 K) = -1.88 eV per atom; crystal system = monoclinic; size of the total moment = 18.0 μB/cell; space group = No. 5
1.0
4.380 4.925 0.000
-4.380 4.925 0.000
0.000 0.843 4.978
Mn O Li Co
2 12 7 3
direct
0.829 0.171 0.500 Mn
0.997 0.003 0.000 Mn
0.884 0.897 0.359 O
0.446 0.789 0.624 O
0.211 0.554 0.376 O
0.791 0.439 0.609 O
0.373 0.393 0.858 O
0.271 0.950 0.121 O
0.050 0.729 0.879 O
0.607 0.627 0.142 O
0.103 0.116 0.641 O
0.955 0.266 0.144 O
0.734 0.045 0.856 O
0.561 0.209 0.391 O
0.910 0.579 0.246 Li
0.666 0.334 0.000 Li
0.260 0.254 0.240 Li
0.421 0.090 0.754 Li
0.746 0.740 0.760 Li
0.080 0.421 0.749 Li
0.579 0.920 0.251 Li
0.343 0.657 0.000 Co
0.176 0.824 0.500 Co
0.505 0.495 0.500 Co



9.
PBE+U Li7Mn4CoO12, relaxed; E (MP2020) = -6.924 eV/atom; ΔE to the lowest computed polymorph = 14 meV/atom; ΔH_f (0 K) = -2.07 eV per atom; crystal system = triclinic; size of the total moment = 28.0 μB/cell; space group = No. 2
1.0
4.869 -0.128 -1.428
-0.548 5.192 -0.005
4.893 -0.143 15.795
O Li Mn Co
24 14 8 2
direct
0.192 0.347 0.021 O
0.873 0.105 0.896 O
0.474 0.653 0.313 O
0.128 0.895 0.102 O
0.375 0.105 0.398 O
0.538 0.105 0.232 O
0.038 0.110 0.731 O
0.871 0.345 0.348 O
0.141 0.648 0.649 O
0.204 0.108 0.564 O
0.694 0.344 0.522 O
0.463 0.892 0.769 O
0.793 0.895 0.437 O
0.525 0.352 0.684 O
0.039 0.375 0.185 O
0.699 0.113 0.059 O
0.296 0.653 0.486 O
0.967 0.887 0.274 O
0.292 0.895 0.935 O
0.371 0.347 0.848 O
0.629 0.890 0.602 O
0.796 0.655 0.985 O
0.972 0.656 0.811 O
0.627 0.625 0.148 O
0.699 0.235 0.792 Li
0.368 0.248 0.123 Li
0.968 0.765 0.541 Li
0.805 0.773 0.709 Li
0.862 0.227 0.624 Li
0.200 0.235 0.293 Li
0.299 0.752 0.210 Li
0.641 0.747 0.877 Li
0.583 0.498 0.417 Li
0.525 0.248 0.956 Li
0.026 0.253 0.456 Li
0.142 0.752 0.378 Li
0.466 0.765 0.040 Li
0.084 0.501 0.916 Li
0.997 0.002 0.998 Mn
0.915 0.498 0.081 Mn
0.168 0.000 0.833 Mn
0.249 0.501 0.752 Mn
0.498 0.000 0.500 Mn
0.752 0.502 0.253 Mn
0.417 0.499 0.582 Mn
0.670 0.998 0.336 Mn
0.333 0.000 0.667 Co
0.833 0.000 0.167 Co



10.
PBE+U Li7Mn2Co3O12, relaxed; E (MP2020) = -6.505 eV/atom; ΔE to the lowest computed polymorph = 111 meV/atom; ΔH_f (0 K) = -1.82 eV per atom; crystal system = triclinic; size of the total moment = 18.0 μB/cell; space group = No. 1
1.0
-1.132 -2.661 -0.908
3.657 1.795 -4.924
7.971 -4.763 7.658
Li Co Mn O
7 3 2 12
direct
0.335 0.668 0.580 Li
0.004 0.005 0.749 Li
0.666 0.331 0.419 Li
0.999 0.999 0.499 Li
0.332 0.664 0.084 Li
0.667 0.333 0.916 Li
0.997 0.998 0.251 Li
0.662 0.318 0.658 Co
0.669 0.338 0.169 Co
0.338 0.679 0.341 Co
0.002 0.003 0.002 Mn
0.332 0.662 0.831 Mn
0.815 0.677 0.956 O
0.518 0.988 0.877 O
0.147 0.343 0.785 O
0.185 0.332 0.551 O
0.490 0.969 0.368 O
0.187 0.326 0.048 O
0.811 0.666 0.447 O
0.508 0.029 0.631 O
0.157 0.358 0.288 O
0.489 0.018 0.125 O
0.840 0.642 0.708 O
0.851 0.651 0.215 O



11.
PBE+U Li3MnCoO5, relaxed; E (MP2020) = -6.590 eV/atom; ΔE to the lowest computed polymorph = 43 meV/atom; ΔH_f (0 K) = -1.92 eV per atom; crystal system = triclinic; size of the total moment = 2.0 μB/cell; space group = No. 2
1.0
2.869 0.153 -0.356
-0.553 5.832 -0.776
-0.010 -0.028 10.584
Mn Li O Co
2 6 10 2
direct
0.188 0.601 0.389 Mn
0.012 0.999 0.011 Mn
0.799 0.901 0.597 Li
0.600 0.800 0.200 Li
0.401 0.699 0.803 Li
0.189 0.088 0.381 Li
0.600 0.300 0.200 Li
0.011 0.512 0.019 Li
0.702 0.822 0.401 O
0.517 0.224 0.999 O
0.498 0.778 0.999 O
0.931 0.969 0.811 O
0.106 0.554 0.215 O
0.683 0.376 0.401 O
0.315 0.165 0.602 O
0.885 0.435 0.798 O
0.094 0.046 0.185 O
0.269 0.631 0.589 O
0.410 0.202 0.802 Co
0.790 0.398 0.598 Co



12.
PBE+U Li7Mn4CoO12, relaxed; E (MP2020) = -6.919 eV/atom; ΔE to the lowest computed polymorph = 19 meV/atom; ΔH_f (0 K) = -2.07 eV per atom; crystal system = triclinic; size of the total moment = 14.0 μB/cell; space group = No. 1
1.0
0.845 -5.866 -0.356
4.354 0.033 4.090
-5.416 0.655 3.558
O Mn Co Li
12 4 1 7
direct
0.421 0.396 0.662 O
0.578 0.604 0.343 O
0.246 0.766 0.012 O
0.768 0.768 0.980 O
0.080 0.055 0.312 O
0.231 0.230 0.017 O
0.575 0.098 0.352 O
0.921 0.943 0.684 O
0.754 0.232 0.982 O
0.445 0.926 0.650 O
0.103 0.578 0.343 O
0.881 0.405 0.663 O
0.670 0.172 0.668 Mn
0.002 0.999 0.000 Mn
0.327 0.334 0.333 Mn
0.671 0.669 0.666 Mn
0.324 0.824 0.326 Co
0.502 0.001 0.004 Li
0.499 0.503 0.004 Li
0.166 0.173 0.676 Li
0.166 0.663 0.669 Li
0.836 0.823 0.321 Li
0.835 0.339 0.329 Li
0.000 0.500 0.004 Li



Q: Which value of size of the total moment does entry 12 give?
A: 14.0 μB/cell